Material: Lu2C3
Method: DFT, GGA-PBE
State: optimized geometry

## Properties
For the energy of formation, the calculation gives -0.268 eV per atom. For the volume, the calculation gives 514.2 Å³ per cell. For the total magnetic moment, the calculation gives 0.00 μB per atom.

Unit cell a=8.011 b=8.011 c=8.011 alpha=90.00 beta=90.00 gamma=90.00
Space group I-43d (No. 220)
Inequivalent atoms, fractional coordinates:
Lu: 0.050 0.450 0.550
C: 0.000 0.250 0.791


Material: Na6Zr2Si5Ge2SO24
Method: DFT, GGA-PBE
State: optimized geometry

## Properties
For the energy of formation, the calculation gives -2.751 eV per atom. For the volume, the calculation gives 1549.5 Å³ per cell. For the total magnetic moment, the calculation gives 0.00 μB per atom. The calculation puts the MP2020-corrected energy at -7.359 eV/atom.

Unit cell a=8.961 b=8.961 c=22.278 alpha=89.19 beta=89.07 gamma=60.04
Space group P1 (No. 1)
Inequivalent atoms, fractional coordinates:
Na: 0.000 0.000 0.000
Na: 0.001 0.639 0.252
Na: 0.002 0.637 0.749
Na: 0.034 0.308 0.170
Na: 0.036 0.937 0.664
Na: 0.300 0.315 0.668
Na: 0.306 0.678 0.168
Na: 0.323 0.963 0.573
Na: 0.327 0.612 0.827
Na: 0.332 0.348 0.334
Na: 0.355 0.961 0.088
Na: 0.633 0.009 0.499
Na: 0.654 0.290 0.919
Na: 0.658 0.950 0.168
Na: 0.669 0.672 0.661
Na: 0.674 0.320 0.420
Na: 0.702 0.600 0.333
Na: 0.960 0.981 0.333
Zr: 0.006 0.648 0.897
Zr: 0.329 0.983 0.726
Zr: 0.342 0.978 0.942
Zr: 0.654 0.312 0.068
Zr: 0.674 0.292 0.770
Zr: 0.998 0.652 0.595
Si: 0.002 0.946 0.493
Si: 0.038 0.982 0.837
Si: 0.048 0.261 0.334
Si: 0.289 0.641 0.005
Si: 0.331 0.274 0.832
Si: 0.333 0.683 0.332
Si: 0.368 0.309 0.174
Si: 0.390 0.588 0.662
Si: 0.612 0.980 0.333
Si: 0.666 0.604 0.172
Si: 0.668 0.026 0.657
Si: 0.697 0.643 0.495
Si: 0.713 0.927 0.008
Si: 0.953 0.312 0.663
Si: 0.961 0.023 0.172
Ge: 0.329 0.978 0.234
Ge: 0.335 0.951 0.428
Ge: 0.664 0.311 0.271
Ge: 0.693 0.308 0.562
Ge: 0.978 0.658 0.394
Ge: 0.995 0.663 0.113
S: 0.000 0.355 0.005
S: 0.295 0.347 0.494
S: 0.629 0.681 0.832
O: 0.014 0.435 0.060
O: 0.018 0.809 0.834
O: 0.027 0.457 0.342
O: 0.034 0.836 0.555
O: 0.143 0.121 0.388
O: 0.143 0.138 0.667
O: 0.143 0.980 0.896
O: 0.154 0.461 0.832
O: 0.154 0.999 0.179
O: 0.155 0.953 0.775
O: 0.156 0.177 0.003
O: 0.157 0.665 0.343
O: 0.164 0.664 0.065
O: 0.169 0.184 0.274
O: 0.175 0.482 0.164
O: 0.178 0.957 0.485
O: 0.196 0.431 0.551
O: 0.197 0.612 0.655
O: 0.203 0.455 0.441
O: 0.207 0.620 0.943
O: 0.285 0.812 0.274
O: 0.292 0.822 0.005
O: 0.311 0.173 0.494
O: 0.330 0.179 0.769
O: 0.352 0.134 0.180
O: 0.353 0.151 0.889
O: 0.370 0.781 0.665
O: 0.392 0.757 0.388
O: 0.454 0.357 0.230
O: 0.456 0.487 0.726
O: 0.469 0.329 0.495
O: 0.482 0.475 0.006
O: 0.487 0.019 0.392
O: 0.491 0.313 0.835
O: 0.495 0.797 0.179
O: 0.498 0.258 0.116
O: 0.499 0.003 0.662
O: 0.506 0.490 0.325
O: 0.511 0.825 0.487
O: 0.521 0.772 0.885
O: 0.521 0.951 0.006
O: 0.525 0.489 0.607
O: 0.531 0.935 0.275
O: 0.552 0.778 0.776
O: 0.621 0.521 0.116
O: 0.634 0.514 0.832
O: 0.635 0.152 0.327
O: 0.636 0.150 0.598
O: 0.684 0.467 0.503
O: 0.707 0.103 0.717
O: 0.712 0.110 0.008
O: 0.712 0.472 0.231
O: 0.780 0.683 0.554
O: 0.802 0.659 0.837
O: 0.805 0.816 0.070
O: 0.809 0.806 0.338
O: 0.818 0.132 0.500
O: 0.824 0.614 0.436
O: 0.825 0.113 0.229
O: 0.825 0.831 0.949
O: 0.830 0.358 0.722
O: 0.837 0.831 0.657
O: 0.845 0.618 0.164
O: 0.846 0.332 0.006
O: 0.851 0.155 0.837
O: 0.853 0.282 0.329
O: 0.878 0.261 0.605
O: 0.889 0.137 0.111
O: 0.958 0.848 0.438
O: 0.979 0.827 0.169
O: 0.985 0.475 0.655
O: 0.990 0.450 0.950


Material: NdInPt4
Method: DFT, GGA-PBE
State: optimized geometry

## Properties
For the energy of formation, the calculation gives -0.789 eV per atom. For the volume, the calculation gives 459.9 Å³ per cell.

Unit cell a=7.719 b=7.719 c=7.719 alpha=90.00 beta=90.00 gamma=90.00
Space group F-43m (No. 216)
Inequivalent atoms, fractional coordinates:
Nd: 0.000 0.000 0.000
In: 0.250 0.250 0.750
Pt: 0.124 0.124 0.376


Material: MgTe2Mo4Se4S2
Method: DFT, GGA-PBE
State: optimized geometry

## Properties
For the energy of formation, the calculation gives -0.560 eV per atom. For the volume, the calculation gives 366.8 Å³ per cell. For the total magnetic moment, the calculation gives 0.00 μB per atom. The calculation puts the MP2020-corrected energy at -6.216 eV/atom.

Unit cell a=3.337 b=3.337 c=38.031 alpha=90.00 beta=90.00 gamma=60.00
Space group P1 (No. 1)
Inequivalent atoms, fractional coordinates:
Mg: 0.000 0.000 0.000
Te: 0.715 0.730 0.174
Te: 0.715 0.730 0.274
Mo: 0.048 0.063 0.224
Mo: 0.048 0.063 0.600
Mo: 0.715 0.730 0.412
Mo: 0.715 0.730 0.788
Se: 0.048 0.063 0.744
Se: 0.048 0.063 0.832
Se: 0.715 0.730 0.556
Se: 0.715 0.730 0.644
S: 0.048 0.063 0.372
S: 0.048 0.063 0.452